(1)
Er4MgZr4O14 | PBE | optimized geometry

Summary:
Total moment in μB per cell: 1.0

a b c (Å): 3.4752 7.7605 11.2931
angles (deg): 90.00 90.00 90.00
Last column: nearest neighbours and their distance in Å.
Space group Pmm2 (No. 25)
Unique sites:
Er (0.0000, 0.0000, 0.0000) (multiplicity 1)  4 O 2.23-2.35
Er (0.0000, 0.5000, 0.4820) (multiplicity 1)  4 O 2.23-2.32
Er (0.5000, 0.2280, 0.7255) (multiplicity 2)  6 O 2.19-2.35
Mg (0.0000, 0.5000, 0.1557) (multiplicity 1)  4 O 1.94-2.11
Zr (0.0000, 0.0000, 0.4866) (multiplicity 1)  6 O 2.13-2.27
Zr (0.0000, 0.5000, 0.9043) (multiplicity 1)  6 O 2.13-2.25
Zr (0.5000, 0.2142, 0.2488) (multiplicity 2)  7 O 2.11-2.26
O (0.0000, 0.2309, 0.8651) (multiplicity 2)  1 Zr 2.14, 3 Er 2.35
O (0.0000, 0.2441, 0.3755) (multiplicity 2)  3 Zr 2.26-2.27, 1 Er 2.32
O (0.0000, 0.2518, 0.1393) (multiplicity 2)  1 Mg 1.94, 2 Zr 2.15
O (0.0000, 0.2762, 0.6063) (multiplicity 2)  3 Er 2.23
O (0.5000, 0.0000, 0.1239) (multiplicity 1)  2 Zr 2.18, 2 Er 2.23
O (0.5000, 0.0000, 0.3642) (multiplicity 1)  4 Zr 2.11-2.22
O (0.5000, 0.0000, 0.5963) (multiplicity 1)  2 Zr 2.13, 2 Er 2.29
O (0.5000, 0.5000, 0.0131) (multiplicity 1)  2 Zr 2.13, 2 Mg 2.37
O (0.5000, 0.5000, 0.2616) (multiplicity 1)  2 Mg 2.11, 2 Zr 2.22
O (0.5000, 0.5000, 0.7781) (multiplicity 1)  2 Er 2.19, 2 Zr 2.25

=====

(2)
ErMgPd | PBE | optimized geometry

a b c (Å): 7.4696 7.4696 4.0123
angles (deg): 90.00 90.00 120.00
Last column: nearest neighbours and their distance in Å.
Space group P-62m (No. 189)
Unique sites:
Er (0.0000, 0.5856, 0.0000) (multiplicity 3)  5 Pd 3.01-3.10, 6 Mg 3.24-3.36
Mg (0.0000, 0.2453, 0.5000) (multiplicity 3)  4 Pd 2.72-2.88
Pd (0.0000, 0.0000, 0.0000) (multiplicity 1)  6 Mg 2.72
Pd (0.3333, 0.6667, 0.5000) (multiplicity 2)  3 Mg 2.88, 6 Er 3.01

=====

(3)
Er2MgS4 | PBE | optimized geometry

Summary:
Total moment in μB per cell: 0.0

a b c (Å): 12.5214 3.8142 13.2724
angles (deg): 90.00 90.00 90.00
Last column: nearest neighbours and their distance in Å.
Space group Pnma (No. 62)
Unique sites:
Er (0.1149, 0.2500, 0.0774) (multiplicity 4)  6 S 2.68-2.79
Er (0.1417, 0.2500, 0.7043) (multiplicity 4)  6 S 2.64-2.78
Mg (0.1152, 0.7500, 0.4446) (multiplicity 4)  5 S 2.58-2.66
S (0.0139, 0.7500, 0.6140) (multiplicity 4)  3 Mg 2.58-2.62, 2 Er 2.76
S (0.0302, 0.2500, 0.8828) (multiplicity 4)  4 Er 2.69-2.79
S (0.2218, 0.2500, 0.2525) (multiplicity 4)  3 Er 2.64-2.68
S (0.2418, 0.2500, 0.5170) (multiplicity 4)  2 Mg 2.66, 3 Er 2.74-2.78

=====

(4)
Er2MgS4 | PBE | optimized geometry

Summary:
Total moment in μB per cell: 0.0

a b c (Å): 13.4312 7.8305 6.4912
angles (deg): 90.00 90.00 90.00
Last column: nearest neighbours and their distance in Å.
Space group Pnma (No. 62)
Unique sites:
Er (0.0000, 0.0000, 0.0000) (multiplicity 4)  6 S 2.68-2.76
Er (0.2324, 0.2500, 0.4993) (multiplicity 4)  6 S 2.69-2.80
Mg (0.0925, 0.7500, 0.5744) (multiplicity 4)  4 S 2.39-2.48
S (0.0715, 0.2500, 0.2516) (multiplicity 4)  1 Mg 2.48, 3 Er 2.69-2.72
S (0.0921, 0.7500, 0.2063) (multiplicity 4)  1 Mg 2.39, 2 Er 2.68
S (0.1682, 0.5079, 0.7572) (multiplicity 8)  1 Mg 2.46

=====

(5)
Er2MgS4 | PBE | optimized geometry

Summary:
Total moment in μB per cell: 0.0

a b c (Å): 3.7583 12.4616 12.7857
angles (deg): 90.00 90.00 90.00
Last column: nearest neighbours and their distance in Å.
Space group Cmc2_1 (No. 36)
Unique sites:
Er (0.0000, 0.1178, 0.0000) (multiplicity 4)  6 S 2.69-2.90
Er (0.0000, 0.3620, 0.2007) (multiplicity 4)  6 S 2.68-2.74
Mg (0.0000, 0.3739, 0.8371) (multiplicity 4)  6 S 2.54-2.65
S (0.0000, 0.0118, 0.7854) (multiplicity 4)  2 Mg 2.63, 2 Er 2.68
S (0.0000, 0.2637, 0.3881) (multiplicity 4)  2 Mg 2.63, 3 Er 2.69-2.78
S (0.0000, 0.2885, 0.6471) (multiplicity 4)  1 Mg 2.65, 4 Er 2.74-2.90
S (0.0000, 0.4637, 0.0156) (multiplicity 4)  1 Mg 2.54, 3 Er 2.69

=====

(6)
Er2MgS4 | PBE | optimized geometry

Summary:
Total moment in μB per cell: 0.0

a b c (Å): 12.5791 7.5100 12.7262
angles (deg): 90.00 90.00 90.00
Last column: nearest neighbours and their distance in Å.
Space group Pca2_1 (No. 29)
Unique sites:
Er (0.1085, 0.1146, 0.0000) (multiplicity 4)  6 S 2.67-2.74
Er (0.1266, 0.6162, 0.3594) (multiplicity 4)  6 S 2.66-2.76
Er (0.1343, 0.3688, 0.6933) (multiplicity 4)  7 S 2.71-3.02
Er (0.1346, 0.8691, 0.6938) (multiplicity 4)  6 S 2.70-2.88
Mg (0.1116, 0.6162, 0.9939) (multiplicity 4)  5 S 2.53-2.67
Mg (0.1262, 0.1198, 0.3643) (multiplicity 4)  6 S 2.54-2.77
S (0.0130, 0.1216, 0.8078) (multiplicity 4)  1 Mg 2.62, 4 Er 2.72-2.84
S (0.0236, 0.6242, 0.8149) (multiplicity 4)  2 Mg 2.53-2.77, 3 Er 2.67-2.83
S (0.0309, 0.6208, 0.5549) (multiplicity 4)  1 Mg 2.64, 4 Er 2.74-2.89
S (0.0449, 0.1231, 0.5491) (multiplicity 4)  2 Mg 2.56-2.86, 2 Er 2.70-2.84
S (0.2114, 0.1184, 0.1836) (multiplicity 4)  1 Mg 2.54, 3 Er 2.67-2.71
S (0.2129, 0.6186, 0.1669) (multiplicity 4)  1 Mg 2.54, 3 Er 2.68-2.71
S (0.2319, 0.8660, 0.9117) (multiplicity 4)  2 Mg 2.63-2.68, 2 Er 2.67-2.68
S (0.2338, 0.3634, 0.9090) (multiplicity 4)  2 Mg 2.60-2.67, 2 Er 2.66-2.71

=====

(7)
Er2MgS4 | PBE | optimized geometry

Summary:
Total moment in μB per cell: 0.0

a b c (Å): 8.1331 8.1331 8.4411
angles (deg): 90.00 90.00 90.00
Last column: nearest neighbours and their distance in Å.
Space group I-42d (No. 122)
Unique sites:
Er (0.1322, 0.2500, 0.1250) (multiplicity 8)  6 S 2.68-2.95
Mg (0.0000, 0.0000, 0.5000) (multiplicity 4)  4 S 2.60
S (0.0668, 0.1945, 0.8124) (multiplicity 16)  1 Mg 2.60, 2 Er 2.68-2.73

=====

(8)
ErMgS3 | PBE | optimized geometry

Summary:
Total moment in μB per cell: 0.0

a b c (Å): 7.0377 12.0148 6.6501
angles (deg): 90.00 116.58 90.00
Last column: nearest neighbours and their distance in Å.
Space group C2/m (No. 12)
Unique sites:
Er (0.1976, 0.0000, 0.3223) (multiplicity 4)  4 S 2.57-2.59
Mg (0.0000, 0.3379, 0.0000) (multiplicity 4)  6 S 2.53-2.81
S (0.0323, 0.5000, 0.2570) (multiplicity 4)  2 Mg 2.53, 2 Er 2.58-2.59
S (0.0540, 0.1685, 0.8004) (multiplicity 8)  2 Mg 2.55-2.81, 1 Er 2.57

=====

(9)
Er2MgS4 | PBE | optimized geometry

a b c (Å): 11.1200 11.1200 11.1200
angles (deg): 90.00 90.00 90.00
Last column: nearest neighbours and their distance in Å.
Space group Fd-3m (No. 227, origin choice 2)
Unique sites:
Er (0.0000, 0.0000, 0.0000) (multiplicity 16)  6 S 2.72
Mg (0.1250, 0.1250, 0.6250) (multiplicity 8)  4 S 2.51
S (0.0051, 0.0051, 0.2449) (multiplicity 32)  1 Mg 2.51, 3 Er 2.72

=====

(10)
Er2MgS4 | PBE | optimized geometry

Summary:
Total moment in μB per cell: 0.0

a b c (Å): 7.1520 8.2641 12.9690
angles (deg): 99.34 95.45 90.00
Last column: nearest neighbours and their distance in Å.
Space group P-1 (No. 2)
Unique sites:
Er (0.1320, 0.4455, 0.3020) (multiplicity 2)  4 S 2.54-2.59
Er (0.1327, 0.9555, 0.3047) (multiplicity 2)  4 S 2.55-2.58
Er (0.2582, 0.1267, 0.0005) (multiplicity 2)  6 S 2.73-2.80
Er (0.3642, 0.2999, 0.6969) (multiplicity 2)  4 S 2.54-2.59
Mg (0.2510, 0.6230, 0.9969) (multiplicity 2)  6 S 2.68-2.73
Mg (0.3667, 0.7997, 0.6998) (multiplicity 2)  4 S 2.44-2.48
S (0.0975, 0.4056, 0.1026) (multiplicity 2)  2 Er 2.54-2.77, 2 Mg 2.69-2.72
S (0.1036, 0.8977, 0.1045) (multiplicity 2)  3 Er 2.55-2.80, 1 Mg 2.73
S (0.1928, 0.5405, 0.6274) (multiplicity 2)  1 Mg 2.48, 2 Er 2.57-2.58
S (0.1939, 0.0231, 0.6272) (multiplicity 2)  1 Mg 2.48, 2 Er 2.57-2.58
S (0.3105, 0.7187, 0.3760) (multiplicity 2)  3 Er 2.58-2.59
S (0.3254, 0.2186, 0.3734) (multiplicity 2)  1 Mg 2.47, 2 Er 2.56-2.57
S (0.3945, 0.8449, 0.8911) (multiplicity 2)  2 Mg 2.44-2.72, 1 Er 2.73
S (0.4036, 0.3533, 0.8964) (multiplicity 2)  2 Er 2.54-2.74, 2 Mg 2.68-2.70

=====

(11)
Er2MgS4 | PBE | optimized geometry

Summary:
Total moment in μB per cell: 0.0

a b c (Å): 7.9286 7.2432 11.3328
angles (deg): 90.00 90.00 90.00
Last column: nearest neighbours and their distance in Å.
Space group Pnma (No. 62)
Unique sites:
Er (0.0346, 0.2500, 0.1892) (multiplicity 4)  5 S 2.67-2.83
Er (0.0747, 0.7500, 0.4794) (multiplicity 4)  6 S 2.58-2.88
Mg (0.1845, 0.7500, 0.0913) (multiplicity 4)  4 S 2.33-2.45
S (0.1024, 0.2500, 0.9545) (multiplicity 4)  1 Mg 2.33, 1 Er 2.58
S (0.1295, 0.9998, 0.6568) (multiplicity 8)  1 Mg 2.45, 1 Er 2.74
S (0.2160, 0.2500, 0.3881) (multiplicity 4)  1 Mg 2.43, 2 Er 2.67

=====

(12)
ErMg2Sc | PBE | optimized geometry

a b c (Å): 7.3663 7.3663 7.3663
angles (deg): 90.00 90.00 90.00
Last column: nearest neighbours and their distance in Å.
Space group Fm-3m (No. 225)
Unique sites:
Er (0.0000, 0.0000, 0.0000) (multiplicity 4)  8 Mg 3.19
Mg (0.2500, 0.2500, 0.2500) (multiplicity 8)  4 Er 3.19, 4 Sc 3.19
Sc (0.0000, 0.0000, 0.5000) (multiplicity 4)  8 Mg 3.19

=====

(13)
Er2MgSi2 | PBE | optimized geometry

a b c (Å): 7.1020 7.1020 4.1987
angles (deg): 90.00 90.00 90.00
Last column: nearest neighbours and their distance in Å.
Space group P4/mbm (No. 127)
Unique sites:
Er (0.1788, 0.3212, 0.0000) (multiplicity 4)  6 Si 2.92-3.01
Mg (0.0000, 0.0000, 0.5000) (multiplicity 2)  4 Si 2.84
Si (0.1188, 0.6188, 0.5000) (multiplicity 4)  1 Si 2.39

=====

(14)
SmErMg2 | PBE | optimized geometry

a b c (Å): 7.6091 7.6091 7.6091
angles (deg): 90.00 90.00 90.00
Last column: nearest neighbours and their distance in Å.
Space group Fm-3m (No. 225)
Unique sites:
Sm (0.0000, 0.0000, 0.0000) (multiplicity 4)  8 Mg 3.29
Er (0.0000, 0.0000, 0.5000) (multiplicity 4)  8 Mg 3.29
Mg (0.2500, 0.2500, 0.2500) (multiplicity 8)  4 Er 3.29, 4 Sm 3.29

=====

(15)
ErMgSn | PBE | optimized geometry

a b c (Å): 4.3753 4.3753 15.8470
angles (deg): 90.00 90.00 90.00
Last column: nearest neighbours and their distance in Å.
Space group I4/mmm (No. 139)
Unique sites:
Er (0.0000, 0.0000, 0.1676) (multiplicity 4)  5 Sn 3.10-3.13, 4 Mg 3.44
Mg (0.0000, 0.5000, 0.0000) (multiplicity 4)  4 Sn 3.08, 4 Mg 3.09, 4 Er 3.44
Sn (0.0000, 0.0000, 0.3634) (multiplicity 4)  4 Mg 3.08, 5 Er 3.10-3.13

=====

(16)
ErMgTl2 | PBE | optimized geometry

Summary:
Total moment in μB per cell: 0.0

a b c (Å): 7.4492 7.4492 7.4492
angles (deg): 90.00 90.00 90.00
Last column: nearest neighbours and their distance in Å.
Space group Fm-3m (No. 225)
Unique sites:
Er (0.0000, 0.0000, 0.0000) (multiplicity 4)  8 Tl 3.23
Mg (0.0000, 0.0000, 0.5000) (multiplicity 4)  8 Tl 3.23
Tl (0.2500, 0.2500, 0.2500) (multiplicity 8)  4 Mg 3.23, 4 Er 3.23

=====

(17)
Er2MgTl | PBE | optimized geometry

a b c (Å): 7.4980 7.4980 7.4980
angles (deg): 90.00 90.00 90.00
Last column: nearest neighbours and their distance in Å.
Space group Fm-3m (No. 225)
Unique sites:
Er (0.2500, 0.2500, 0.2500) (multiplicity 8)  4 Tl 3.25, 4 Mg 3.25
Mg (0.0000, 0.0000, 0.0000) (multiplicity 4)  8 Er 3.25
Tl (0.0000, 0.0000, 0.5000) (multiplicity 4)  8 Er 3.25

=====

| no. | E (eV per atom) |
| --- | --- |
| 1 | -8.5186 |
| 2 | -4.4810 |
| 3 | -5.7220 |
| 4 | -5.7658 |
| 5 | -5.7644 |
| 6 | -5.7651 |
| 7 | -5.6980 |
| 8 | -4.9309 |
| 9 | -5.7887 |
| 10 | -5.5916 |
| 11 | -5.5372 |
| 12 | -3.5692 |
| 13 | -5.0234 |
| 14 | -3.2063 |
| 15 | -3.9340 |
| 16 | -2.9087 |
| 17 | -3.4827 |